# 1
A plane-wave DFT calculation with PBE-GGA was carried out for a geometry-optimized RePCl6O3 structure.

```
44
Lattice="12.927 0.000 0.000 0.000 6.579 0.000 0.000 2.425 13.996" Properties=species:S:1:pos:R:3 pbc="T T T"
Cl 10.745 6.630 13.864
Cl 5.989 5.210 3.607
Cl 6.690 1.444 4.865
Cl 2.474 2.278 10.252
O 7.848 5.783 13.286
O 3.065 4.924 1.270
O 1.385 4.433 7.708
O 8.405 2.611 8.145
P 5.183 6.757 4.575
Cl 6.938 3.794 10.389
Cl 12.700 2.656 11.864
O 10.985 1.398 1.147
O 9.861 4.080 12.726
P 7.744 2.247 9.422
Cl 2.182 2.374 0.132
Cl 12.452 2.582 3.391
Cl 4.281 3.586 7.130
Re 9.146 2.533 0.033
Cl 10.528 4.593 9.244
Cl 4.930 8.306 13.187
O 1.942 7.605 12.850
Cl 0.474 6.422 10.605
Cl 6.236 7.560 9.131
Cl 2.399 4.411 4.753
Cl 3.989 1.065 3.253
Re 10.244 3.746 7.031
Cl 8.645 5.418 6.866
Cl 8.938 7.939 10.743
O 9.529 2.868 5.728
P 11.647 1.035 2.424
Cl 7.997 0.698 0.809
O 11.542 4.571 6.288
Cl 11.393 1.910 7.807
Cl 8.863 3.381 2.245
Cl 1.533 7.094 6.189
O 5.078 3.221 0.710
O 4.522 6.393 5.852
Re 3.781 6.470 13.964
Cl 10.452 6.726 3.745
P 1.280 7.969 11.573
Cl 0.227 6.348 2.133
Cl 4.064 5.623 11.751
Re 2.683 5.258 6.965
O 3.398 6.136 8.269
```

Computed properties:
The formation energy comes out at -1.217 eV/atom.

***

# 2
A plane-wave DFT calculation with PBE-GGA was carried out for a geometry-optimized CeN2Cl5 structure.

```
32
Lattice="8.465 0.000 0.000 0.000 10.085 0.000 0.000 0.000 11.637" Properties=species:S:1:pos:R:3 pbc="T T T"
Cl 6.349 9.950 11.171
Cl 4.482 3.635 0.961
N 4.957 9.919 10.534
N 0.725 4.876 6.922
Cl 6.349 5.178 5.352
Cl 6.349 8.146 7.558
Cl 6.349 6.982 1.739
Cl 2.116 4.907 6.285
Cl 8.216 3.635 0.961
N 4.957 5.209 4.716
Cl 0.249 8.677 4.858
N 3.508 4.876 6.922
Cl 6.349 4.024 9.331
Cl 3.983 6.450 10.677
Cl 8.216 1.408 6.779
Cl 0.249 6.450 10.677
N 0.725 0.166 1.103
Cl 6.349 1.019 3.512
Ce 2.116 4.800 0.141
Ce 2.116 0.242 5.959
Cl 2.116 0.135 0.467
Ce 6.349 9.843 5.678
N 7.740 9.919 10.534
Ce 6.349 5.285 11.497
N 7.740 5.209 4.716
Cl 2.116 9.066 8.125
Cl 2.116 1.939 4.080
Cl 2.116 3.103 9.898
Cl 2.116 6.061 2.307
Cl 3.983 8.677 4.858
N 3.508 0.166 1.103
Cl 4.482 1.408 6.779
```

Computed properties:
The formation energy comes out at -0.648 eV/atom.

***

# 3
A plane-wave DFT calculation with PBE-GGA was carried out for a geometry-optimized NbGe2 structure.

```
9
Lattice="2.507 -4.342 0.000 2.507 4.342 0.000 0.000 0.000 6.842" Properties=species:S:1:pos:R:3 pbc="T T T"
Ge 2.507 -2.917 5.701
Ge 2.507 2.917 5.701
Nb 1.253 -2.171 3.421
Nb 2.507 0.000 5.701
Ge 1.234 0.713 3.421
Ge 3.779 0.713 1.140
Nb 1.253 2.171 1.140
Ge 3.779 -0.713 3.421
Ge 1.234 -0.713 1.140
```

Computed properties:
The formation energy comes out at -0.343 eV/atom.

***

# 4
A plane-wave DFT calculation with PBE-GGA was carried out for a geometry-optimized Al2S3O12 structure.

```
102
Lattice="8.271 0.000 0.000 -4.136 7.163 0.000 0.000 0.000 21.474" Properties=species:S:1:pos:R:3 pbc="T T T"
O 3.231 1.189 5.176
Al 0.000 0.000 18.345
O -1.491 4.959 16.298
Al 4.136 2.388 4.028
O -0.905 3.576 12.334
Al 0.000 4.775 6.709
O 4.722 5.780 1.982
O 5.626 2.572 19.877
S -1.196 2.704 19.685
O 0.905 3.576 1.597
O 5.136 3.611 2.985
Al 0.000 4.775 0.449
O 2.645 6.979 8.755
Al 4.136 2.388 14.766
O 1.560 0.255 6.564
O 6.711 0.255 17.301
O 0.905 1.199 1.982
O 0.559 6.254 7.752
S 5.332 4.459 1.790
O 1.491 0.184 12.719
Al 0.000 4.775 11.186
O 3.577 0.909 13.722
O 1.001 3.552 7.752
O 3.577 5.685 6.564
S 1.196 6.847 8.948
O -2.645 6.979 19.493
O 2.645 2.572 9.140
S 2.392 4.775 19.685
O 5.040 1.189 15.913
O 3.231 3.587 19.877
S 2.939 5.091 5.369
O 4.695 0.909 2.985
O 3.135 3.611 13.722
O 3.550 1.005 19.877
O 1.491 4.959 5.561
S 1.196 2.072 16.106
O 3.135 5.940 4.173
O 2.576 2.133 0.594
O 3.135 1.164 11.331
S 1.743 2.388 1.790
O 5.695 2.133 11.331
O -3.135 5.940 14.910
O 1.001 5.999 10.143
Al 0.000 0.000 7.607
S 2.940 0.316 12.527
O 3.550 3.770 5.176
S 2.940 4.459 12.527
O 2.576 2.643 2.985
O -0.586 1.383 19.493
O -2.576 6.908 4.173
O -0.586 3.393 5.561
S -1.196 2.072 5.369
O -1.491 4.591 1.597
O 4.695 5.685 17.301
S 1.196 2.704 8.948
S 6.528 2.388 12.527
O -1.001 5.999 20.880
O 2.576 6.908 14.910
O 4.722 3.770 15.913
Al 4.136 2.388 10.288
O 3.577 3.866 11.331
O 7.367 1.199 12.719
O -0.559 3.297 20.880
O 0.586 1.383 8.755
O -0.559 1.478 4.173
O 0.586 6.158 1.597
S 5.332 0.316 1.790
O -0.905 5.974 5.561
S -1.196 6.847 19.685
O 5.695 2.643 13.722
Al 0.000 0.000 13.867
O 7.270 1.223 6.564
O -1.560 4.520 7.752
O -3.231 5.964 8.755
O -1.560 5.030 10.143
O 1.560 5.030 20.880
O 5.626 2.204 5.176
S 2.392 0.000 5.369
O 4.722 1.005 9.140
O 5.136 1.164 0.594
O 6.781 0.184 1.982
O 1.491 4.591 12.334
Al 0.000 4.775 17.446
O 0.586 3.393 16.298
O 4.695 3.866 0.594
S -2.392 4.775 8.948
O 5.040 3.587 9.140
O 3.231 5.964 19.493
S 5.879 0.000 16.106
O 1.560 4.520 18.489
S -2.939 5.091 16.106
O 3.550 5.780 12.719
O 0.559 1.478 14.910
O 1.001 1.223 17.301
O -1.001 3.552 18.489
O -0.559 6.254 18.489
Al 4.136 2.388 21.025
O -0.586 6.158 12.334
O 0.559 3.297 10.143
O 2.645 2.204 15.913
Al 0.000 0.000 3.130
O 0.905 5.974 16.298
```

Computed properties:
The formation energy comes out at -2.329 eV/atom.

***

# 5
A plane-wave DFT calculation with PBE-GGA was carried out for a geometry-optimized Na2U2O7 structure.

```
11
Lattice="-0.656 -3.600 1.573 5.506 0.489 3.415 -1.222 2.908 6.146" Properties=species:S:1:pos:R:3 pbc="T T T"
O 3.978 1.042 9.087
Na 2.194 1.699 4.803
O 3.669 0.678 3.081
O -0.271 -1.350 1.840
O 4.810 1.597 5.659
O 2.658 0.255 6.735
O 0.591 2.724 6.483
O 0.807 -0.459 4.329
U 5.481 0.533 3.504
U 4.505 0.107 7.168
Na 1.214 1.341 8.620
```

Computed properties:
The formation energy comes out at -3.216 eV/atom.

***

# 6
A plane-wave DFT calculation with PBE-GGA was carried out for a geometry-optimized Mo12P structure.

```
26
Lattice="4.326 -6.100 -0.899 5.896 4.016 -2.417 2.976 0.573 6.896" Properties=species:S:1:pos:R:3 pbc="T T T"
Mo 5.349 0.624 2.668
Mo 5.214 -2.272 1.940
Mo 8.600 0.519 0.203
Mo 8.135 1.767 2.515
Mo 7.428 0.151 4.366
Mo 5.022 1.682 5.158
Mo 10.646 0.136 2.008
P 8.152 -0.933 2.211
Mo 5.216 -4.979 1.628
Mo 3.299 -3.854 0.023
Mo 2.877 -1.088 2.130
Mo 6.956 1.328 -2.122
Mo 2.656 0.610 4.279
Mo 3.544 -1.143 -0.355
Mo 4.388 2.059 -1.496
Mo 4.732 -1.292 4.617
P 12.303 -1.409 3.337
Mo 6.003 -0.249 -0.114
Mo 10.324 -2.565 2.054
Mo 8.462 -1.990 -0.273
Mo 9.880 -1.104 4.306
Mo 5.951 -3.092 -0.636
Mo 7.187 -2.501 4.210
Mo 6.247 2.446 0.611
Mo 7.701 -3.387 1.868
Mo 3.459 1.100 0.905
```

Computed properties:
The formation energy comes out at 0.369 eV/atom.

***

# 7
A plane-wave DFT calculation with PBE-GGA was carried out for a geometry-optimized MnSn structure.

```
4
Lattice="4.069 0.000 0.000 -2.034 3.524 0.000 0.000 0.000 5.551" Properties=species:S:1:pos:R:3 pbc="T T T"
Sn 0.000 2.349 1.388
Mn 0.000 0.000 2.775
Mn 0.000 0.000 0.000
Sn 2.034 1.175 4.163
```

Computed properties:
The formation energy comes out at 0.147 eV/atom.

***

# 8
A plane-wave DFT calculation with PBE-GGA was carried out for a geometry-optimized Pr2IrAu structure.

```
4
Lattice="0.000 3.658 3.658 3.658 0.000 3.658 3.658 3.658 0.000" Properties=species:S:1:pos:R:3 pbc="T T T"
Pr 1.829 1.829 1.829
Ir 0.000 0.000 0.000
Pr 5.487 5.487 5.487
Au 3.658 3.658 3.658
```

Computed properties:
The formation energy comes out at -0.645 eV/atom.

***

# 9
A plane-wave DFT calculation with PBE-GGA was carried out for a geometry-optimized K5SnBi3 structure.

```
36
Lattice="-5.138 -5.271 5.106 6.740 -7.654 -1.120 14.847 -2.451 12.408" Properties=species:S:1:pos:R:3 pbc="T T T"
K 9.466 -10.366 6.709
K 0.664 -6.316 7.336
Bi 8.120 -6.405 6.406
K 14.338 -14.209 15.449
K 0.217 -4.903 3.300
K 7.446 -8.774 3.765
Sn 10.183 -7.016 8.560
Sn 12.626 -10.677 15.097
Sn 3.823 -4.699 1.298
Bi 0.305 -8.361 4.382
K 16.232 -10.473 13.095
K 4.099 -6.662 5.054
Sn 6.266 -8.360 7.835
Bi 12.560 -8.503 7.558
Bi 16.144 -7.015 12.013
Bi 3.453 -3.266 3.866
Bi 4.985 -7.432 1.504
K 9.003 -6.602 12.630
Bi 11.464 -7.944 14.891
Bi 10.769 -4.603 10.178
K 15.785 -9.059 9.059
K 2.391 -10.089 7.657
K 12.350 -8.714 11.341
Bi 3.890 -6.873 8.837
K 14.058 -5.287 8.738
K 2.111 -1.167 0.946
K 10.078 -12.183 10.401
K 13.108 -5.122 12.881
Bi 12.996 -12.110 12.529
K 6.983 -5.010 9.686
K 3.341 -10.253 3.514
K 6.372 -3.193 5.994
K 5.258 -8.573 11.872
Bi 5.681 -10.773 6.217
Bi 8.330 -8.971 9.989
K 11.191 -6.803 4.523
```

Computed properties:
The formation energy comes out at -0.349 eV/atom.

***

What did the sixth record say?
A plane-wave DFT calculation with PBE-GGA was carried out for a geometry-optimized Mo12P structure.

```
26
Lattice="4.326 -6.100 -0.899 5.896 4.016 -2.417 2.976 0.573 6.896" Properties=species:S:1:pos:R:3 pbc="T T T"
Mo 5.349 0.624 2.668
Mo 5.214 -2.272 1.940
Mo 8.600 0.519 0.203
Mo 8.135 1.767 2.515
Mo 7.428 0.151 4.366
Mo 5.022 1.682 5.158
Mo 10.646 0.136 2.008
P 8.152 -0.933 2.211
Mo 5.216 -4.979 1.628
Mo 3.299 -3.854 0.023
Mo 2.877 -1.088 2.130
Mo 6.956 1.328 -2.122
Mo 2.656 0.610 4.279
Mo 3.544 -1.143 -0.355
Mo 4.388 2.059 -1.496
Mo 4.732 -1.292 4.617
P 12.303 -1.409 3.337
Mo 6.003 -0.249 -0.114
Mo 10.324 -2.565 2.054
Mo 8.462 -1.990 -0.273
Mo 9.880 -1.104 4.306
Mo 5.951 -3.092 -0.636
Mo 7.187 -2.501 4.210
Mo 6.247 2.446 0.611
Mo 7.701 -3.387 1.868
Mo 3.459 1.100 0.905
```

Computed properties:
The formation energy comes out at 0.369 eV/atom.